# 1
Computed, not measured: a geometry-optimized K structure at the meta-GGA r2SCAN level of DFT. Values from VASP.

Quantum ESPRESSO input file:
```
&SYSTEM
  ibrav = 0, nat = 2, ntyp = 1
/
ATOMIC_SPECIES
K 39.10 K.upf
CELL_PARAMETERS angstrom
5.3951 0.0000 0.0000
0.0000 5.3951 0.0000
0.0000 0.0000 5.3951
ATOMIC_POSITIONS crystal
K 0.0000 0.0000 0.0000
K 0.5000 0.5000 0.5000
```

Calculated values
* calculated formation energy: 0.015 eV/atom

# 2
Computed, not measured: a geometry-optimized K structure at the meta-GGA r2SCAN level of DFT. Values from VASP.

Quantum ESPRESSO input file:
```
&SYSTEM
  ibrav = 0, nat = 4, ntyp = 1
/
ATOMIC_SPECIES
K 39.10 K.upf
CELL_PARAMETERS angstrom
6.7837 0.0000 0.0000
0.0000 6.7837 0.0000
0.0000 0.0000 6.7837
ATOMIC_POSITIONS crystal
K 0.0000 0.0000 0.0000
K 0.0000 0.5000 0.5000
K 0.5000 0.0000 0.5000
K 0.5000 0.5000 0.0000
```

Calculated values
* calculated formation energy: 0.007 eV/atom

# 3
Computed, not measured: a geometry-optimized K structure at the meta-GGA r2SCAN level of DFT. Values from VASP.

Quantum ESPRESSO input file:
```
&SYSTEM
  ibrav = 0, nat = 4, ntyp = 1
/
ATOMIC_SPECIES
K 39.10 K.upf
CELL_PARAMETERS angstrom
4.8759 0.0000 0.0000
0.0000 8.0952 0.0000
0.0000 0.0000 7.8118
ATOMIC_POSITIONS crystal
K 0.0000 0.1794 0.2500
K 0.0000 0.8206 0.7500
K 0.5000 0.3206 0.7500
K 0.5000 0.6794 0.2500
```

Calculated values
* calculated formation energy: 0.007 eV/atom

Repeat the first record exactly.
Computed, not measured: a geometry-optimized K structure at the meta-GGA r2SCAN level of DFT. Values from VASP.

Quantum ESPRESSO input file:
```
&SYSTEM
  ibrav = 0, nat = 2, ntyp = 1
/
ATOMIC_SPECIES
K 39.10 K.upf
CELL_PARAMETERS angstrom
5.3951 0.0000 0.0000
0.0000 5.3951 0.0000
0.0000 0.0000 5.3951
ATOMIC_POSITIONS crystal
K 0.0000 0.0000 0.0000
K 0.5000 0.5000 0.5000
```

Calculated values
* calculated formation energy: 0.015 eV/atom

Which value of calculated formation energy does entry 2 give? 0.007 eV/atom

Which of these has the highest calculated formation energy? number 1

Among the records above, which one has the highest calculated formation energy? number 1